# Ba3Sb2S7 | the Materials Project | GGA-PBE | relaxed
data_Ba3Sb2S7
_chemical_formula_sum 'Ba24 Sb16 S56'
_symmetry_space_group_name_H-M 'C 1 2/c 1'
_symmetry_Int_Tables_number 15
_symmetry_space_group_name_Hall '-C 2yc'
_cell_length_a 18.621
_cell_length_b 12.438
_cell_length_c 13.410
_cell_angle_alpha 90.00
_cell_angle_beta 110.17
_cell_angle_gamma 90.00
loop_
_atom_site_label
_atom_site_fract_x
_atom_site_fract_y
_atom_site_fract_z
_atom_site_occupancy
Ba1 0.098 0.004 0.173 1
Ba2 0.106 0.499 0.177 1
Ba3 0.131 0.255 0.443 1
Sb1 0.083 0.278 0.909 1
Sb2 0.229 0.027 0.989 1
S1 0.052 0.251 0.628 1
S2 0.054 0.254 0.180 1
S3 0.079 0.479 0.912 1
S4 0.086 0.008 0.915 1
S5 0.141 0.252 0.113 1
S6 0.245 0.100 0.634 1
S7 0.247 0.103 0.363 1
# ΔE_f, meV/atom: -1517
# ρ, g/cm3: 4.010



# BaAlSi5N7O2 | the Materials Project | GGA-PBE | relaxed
data_BaAlSi5N7O2
_chemical_formula_sum 'Ba1 Al1 Si5 N7 O2'
_symmetry_space_group_name_H-M 'P 1'
_symmetry_Int_Tables_number 1
_symmetry_space_group_name_Hall 'P 1'
_cell_length_a 4.932
_cell_length_b 6.823
_cell_length_c 6.882
_cell_angle_alpha 74.48
_cell_angle_beta 69.54
_cell_angle_gamma 69.08
loop_
_atom_site_label
_atom_site_fract_x
_atom_site_fract_y
_atom_site_fract_z
_atom_site_occupancy
Ba1 0.000 0.000 0.000 1
Al1 0.622 0.520 0.153 1
Si1 0.121 0.324 0.340 1
Si2 0.287 0.848 0.482 1
Si3 0.303 0.453 0.861 1
Si4 0.614 0.133 0.542 1
Si5 0.791 0.647 0.664 1
N1 0.014 0.090 0.455 1
N2 0.038 0.439 0.105 1
N3 0.113 0.675 0.690 1
N4 0.434 0.212 0.780 1
N5 0.487 0.290 0.326 1
N6 0.567 0.548 0.894 1
N7 0.572 0.883 0.553 1
O1 0.420 0.766 0.252 1
O2 0.870 0.489 0.498 1
# ΔE_f, meV/atom: -1647
# Piezoelectric modulus e_max, C/m2: 1.53
# ρ, g/cm3: 3.610
# Energy above the most stable polymorph in this dataset, eV/atom: 0.000



# PuHg3 | the Materials Project | GGA-PBE | relaxed
data_PuHg3
_chemical_formula_sum 'Pu4 Hg12'
_symmetry_space_group_name_H-M 'F m -3 m'
_symmetry_Int_Tables_number 225
_symmetry_space_group_name_Hall '-F 4 2 3'
_cell_length_a 7.366
_cell_length_b 7.366
_cell_length_c 7.366
_cell_angle_alpha 90.00
_cell_angle_beta 90.00
_cell_angle_gamma 90.00
loop_
_atom_site_label
_atom_site_fract_x
_atom_site_fract_y
_atom_site_fract_z
_atom_site_occupancy
Pu1 0.000 0.000 0.000 1
Hg1 0.000 0.000 0.500 1
Hg2 0.250 0.250 0.250 1
# ΔE_f, meV/atom: -123
# ρ, g/cm3: 14.056



# Nd2InCuS5 | the Materials Project | GGA-PBE | relaxed
data_Nd2InCuS5
_chemical_formula_sum 'Nd8 In4 Cu4 S20'
_symmetry_space_group_name_H-M 'P n m a'
_symmetry_Int_Tables_number 62
_symmetry_space_group_name_Hall '-P 2ac 2n'
_cell_length_a 11.553
_cell_length_b 3.902
_cell_length_c 16.744
_cell_angle_alpha 90.00
_cell_angle_beta 90.00
_cell_angle_gamma 90.00
loop_
_atom_site_label
_atom_site_fract_x
_atom_site_fract_y
_atom_site_fract_z
_atom_site_occupancy
Nd1 0.023 0.250 0.180 1
Nd2 0.136 0.750 0.594 1
In1 0.194 0.750 0.361 1
Cu1 0.083 0.750 0.996 1
S1 0.015 0.250 0.694 1
S2 0.098 0.250 0.921 1
S3 0.109 0.250 0.463 1
S4 0.182 0.750 0.113 1
S5 0.241 0.750 0.770 1
# ΔE_f, meV/atom: -1631
# ρ, g/cm3: 5.518



# BaSrNdNbO6 | the Materials Project | GGA-PBE | relaxed
data_BaSrNdNbO6
_chemical_formula_sum 'Ba4 Sr4 Nd4 Nb4 O24'
_symmetry_space_group_name_H-M 'P n n n'
_symmetry_Int_Tables_number 48
_cell_length_a 8.589
_cell_length_b 8.601
_cell_length_c 8.612
_cell_angle_alpha 90.00
_cell_angle_beta 90.00
_cell_angle_gamma 90.00
loop_
_symmetry_equiv_pos_as_xyz
'x,y,z'
'-x,-y,-z'
'-x+1/2,-y+1/2,z'
'x+1/2,y+1/2,-z'
'x,-y+1/2,-z+1/2'
'-x,y+1/2,z+1/2'
'-x+1/2,y,-z+1/2'
'x+1/2,-y,z+1/2'
loop_
_atom_site_label
_atom_site_fract_x
_atom_site_fract_y
_atom_site_fract_z
_atom_site_occupancy
Ba1 0.250 0.250 0.250 1
Ba2 0.250 0.750 0.250 1
Sr1 0.250 0.250 0.750 1
Sr2 0.250 0.750 0.750 1
Nd1 0.000 0.000 0.000 1
Nb1 0.000 0.000 0.500 1
O1 0.033 0.042 0.731 1
O2 0.039 0.731 0.963 1
O3 0.231 0.029 0.467 1
# ΔE_f, meV/atom: -3360
# ρ, g/cm3: 5.827
# Energy above the most stable polymorph in this dataset, eV/atom: 0.012



# Ca3Sn13Rh4 | the Materials Project | GGA-PBE | relaxed
data_Ca3Sn13Rh4
_chemical_formula_sum 'Ca6 Sn26 Rh8'
_symmetry_space_group_name_H-M 'P m -3 n'
_symmetry_Int_Tables_number 223
_symmetry_space_group_name_Hall '-P 4n 2 3'
_cell_length_a 9.843
_cell_length_b 9.843
_cell_length_c 9.843
_cell_angle_alpha 90.00
_cell_angle_beta 90.00
_cell_angle_gamma 90.00
loop_
_atom_site_label
_atom_site_fract_x
_atom_site_fract_y
_atom_site_fract_z
_atom_site_occupancy
Ca1 0.000 0.250 0.500 1
Sn1 0.000 0.000 0.000 1
Sn2 0.000 0.304 0.153 1
Rh1 0.250 0.250 0.250 1
# ΔE_f, meV/atom: -503
# ρ, g/cm3: 7.226